Entry 1:
An optimized crystal structure of UCoSn. Source: Materials Project, functional PBE.

CIF file:
```
data_UCoSn
_chemical_formula_sum 'U3 Co3 Sn3'
_symmetry_space_group_name_H-M 'P 1'
_symmetry_Int_Tables_number 1
_cell_length_a 7.047
_cell_length_b 7.047
_cell_length_c 4.048
_cell_angle_alpha 90.00
_cell_angle_beta 90.00
_cell_angle_gamma 120.00
loop_
_symmetry_equiv_pos_as_xyz
'x,y,z'
loop_
_atom_site_label
_atom_site_fract_x
_atom_site_fract_y
_atom_site_fract_z
U1 0.000 0.582 0.500
U2 0.418 0.418 0.500
U3 0.582 0.000 0.500
Co1 0.333 0.667 0.000
Co2 0.000 0.000 0.500
Co3 0.667 0.333 0.000
Sn1 0.749 0.749 0.000
Sn2 0.000 0.251 0.000
Sn3 0.251 0.000 0.000
```

Computed properties:
Space group: P-62m (189)
Total magnetization (Bohr magnetons per cell): 6.09
Energy of formation from the pure elements (eV per atom): -0.16

Entry 2:
An optimized crystal structure of SmNi3. Source: Materials Project, functional PBE.

CIF file:
```
data_SmNi3
_chemical_formula_sum 'Sm3 Ni9'
_symmetry_space_group_name_H-M 'P 1'
_symmetry_Int_Tables_number 1
_cell_length_a 8.694
_cell_length_b 8.694
_cell_length_c 8.694
_cell_angle_alpha 33.50
_cell_angle_beta 33.50
_cell_angle_gamma 33.50
loop_
_symmetry_equiv_pos_as_xyz
'x,y,z'
loop_
_atom_site_label
_atom_site_fract_x
_atom_site_fract_y
_atom_site_fract_z
Sm1 0.861 0.861 0.861
Sm2 0.139 0.139 0.139
Sm3 0.000 0.000 0.000
Ni1 0.419 0.918 0.419
Ni2 0.419 0.419 0.918
Ni3 0.918 0.419 0.419
Ni4 0.581 0.082 0.581
Ni5 0.581 0.581 0.082
Ni6 0.082 0.581 0.581
Ni7 0.667 0.667 0.667
Ni8 0.333 0.333 0.333
Ni9 0.500 0.500 0.500
```

Computed properties:
Space group: R-3m (166)
Energy of formation from the pure elements (eV per atom): -0.35

Entry 3:
An optimized crystal structure of PmNi2Sn. Source: Materials Project, functional PBE.

CIF file:
```
data_PmNi2Sn
_chemical_formula_sum 'Pm1 Ni2 Sn1'
_symmetry_space_group_name_H-M 'P 1'
_symmetry_Int_Tables_number 1
_cell_length_a 4.651
_cell_length_b 4.651
_cell_length_c 4.651
_cell_angle_alpha 60.00
_cell_angle_beta 60.00
_cell_angle_gamma 60.00
loop_
_symmetry_equiv_pos_as_xyz
'x,y,z'
loop_
_atom_site_label
_atom_site_fract_x
_atom_site_fract_y
_atom_site_fract_z
Pm1 0.500 0.500 0.500
Ni1 0.250 0.250 0.250
Ni2 0.750 0.750 0.750
Sn1 0.000 0.000 0.000
```

Computed properties:
Space group: Fm-3m (225)
Energy of formation from the pure elements (eV per atom): -0.39

Entry 4:
An optimized crystal structure of U2Ga9Ir3. Source: Materials Project, functional PBE.

CIF file:
```
data_U2Ga9Ir3
_chemical_formula_sum 'U4 Ga18 Ir6'
_symmetry_space_group_name_H-M 'P 1'
_symmetry_Int_Tables_number 1
_cell_length_a 7.653
_cell_length_b 7.653
_cell_length_c 9.408
_cell_angle_alpha 90.00
_cell_angle_beta 90.00
_cell_angle_gamma 120.28
loop_
_symmetry_equiv_pos_as_xyz
'x,y,z'
loop_
_atom_site_label
_atom_site_fract_x
_atom_site_fract_y
_atom_site_fract_z
U1 0.997 0.669 0.750
U2 0.003 0.331 0.250
U3 0.669 0.997 0.750
U4 0.331 0.003 0.250
Ga1 0.128 0.128 0.750
Ga2 0.872 0.872 0.250
Ga3 0.000 0.334 0.579
Ga4 0.000 0.666 0.421
Ga5 0.000 0.666 0.079
Ga6 0.334 0.000 0.921
Ga7 0.000 0.334 0.921
Ga8 0.666 0.000 0.079
Ga9 0.666 0.000 0.421
Ga10 0.334 0.000 0.579
Ga11 0.333 0.333 0.067
Ga12 0.667 0.667 0.933
Ga13 0.667 0.667 0.567
Ga14 0.333 0.333 0.433
Ga15 0.338 0.544 0.750
Ga16 0.662 0.456 0.250
Ga17 0.544 0.338 0.750
Ga18 0.456 0.662 0.250
Ir1 0.671 0.329 0.500
Ir2 0.329 0.671 0.500
Ir3 0.329 0.671 0.000
Ir4 0.671 0.329 0.000
Ir5 0.000 0.000 0.500
Ir6 0.000 0.000 0.000
```

Computed properties:
Space group: Cmcm (63)
Total magnetization (Bohr magnetons per cell): 8.89
Energy of formation from the pure elements (eV per atom): -0.44

Entry 5:
An optimized crystal structure of PrSc3B4O12. Source: Materials Project, functional PBE.

CIF file:
```
data_PrSc3B4O12
_chemical_formula_sum 'Pr2 Sc6 B8 O24'
_symmetry_space_group_name_H-M 'P 1'
_symmetry_Int_Tables_number 1
_cell_length_a 6.309
_cell_length_b 6.309
_cell_length_c 12.160
_cell_angle_alpha 80.56
_cell_angle_beta 80.56
_cell_angle_gamma 103.62
loop_
_symmetry_equiv_pos_as_xyz
'x,y,z'
loop_
_atom_site_label
_atom_site_fract_x
_atom_site_fract_y
_atom_site_fract_z
Pr1 0.032 0.968 0.750
Pr2 0.968 0.032 0.250
Sc1 0.297 0.798 0.476
Sc2 0.202 0.703 0.024
Sc3 0.703 0.202 0.524
Sc4 0.798 0.297 0.976
Sc5 0.574 0.426 0.750
Sc6 0.426 0.574 0.250
B1 0.270 0.222 0.000
B2 0.778 0.730 0.500
B3 0.730 0.778 0.000
B4 0.222 0.270 0.500
B5 0.505 0.899 0.774
B6 0.101 0.495 0.726
B7 0.495 0.101 0.226
B8 0.899 0.505 0.274
O1 0.111 0.569 0.205
O2 0.431 0.889 0.295
O3 0.889 0.431 0.795
O4 0.569 0.111 0.705
O5 0.991 0.813 0.432
O6 0.187 0.009 0.068
O7 0.009 0.187 0.568
O8 0.813 0.991 0.932
O9 0.643 0.760 0.761
O10 0.240 0.357 0.739
O11 0.357 0.240 0.239
O12 0.760 0.643 0.261
O13 0.133 0.364 0.004
O14 0.636 0.867 0.496
O15 0.867 0.636 0.996
O16 0.364 0.133 0.504
O17 0.837 0.303 0.351
O18 0.697 0.163 0.149
O19 0.163 0.697 0.649
O20 0.303 0.837 0.851
O21 0.292 0.484 0.432
O22 0.516 0.708 0.068
O23 0.708 0.516 0.568
O24 0.484 0.292 0.932
```

Computed properties:
Space group: C2/c (15)
Total magnetization (Bohr magnetons per cell): 0.00
Energy of formation from the pure elements (eV per atom): -3.45

Entry 6:
An optimized crystal structure of Y2CuO4. Source: Materials Project, functional PBE.

CIF file:
```
data_Y2CuO4
_chemical_formula_sum 'Y2 Cu1 O4'
_symmetry_space_group_name_H-M 'P 1'
_symmetry_Int_Tables_number 1
_cell_length_a 6.494
_cell_length_b 6.494
_cell_length_c 6.494
_cell_angle_alpha 145.20
_cell_angle_beta 145.20
_cell_angle_gamma 50.04
loop_
_symmetry_equiv_pos_as_xyz
'x,y,z'
loop_
_atom_site_label
_atom_site_fract_x
_atom_site_fract_y
_atom_site_fract_z
Y1 0.348 0.348 0.000
Y2 0.652 0.652 0.000
Cu1 0.000 0.000 0.000
O1 0.500 0.000 0.500
O2 0.750 0.250 0.500
O3 0.000 0.500 0.500
O4 0.250 0.750 0.500
```

Computed properties:
Space group: I4/mmm (139)
Distance to the lowest polymorph of the same formula (eV per atom): 0.017
Total magnetization (Bohr magnetons per cell): 0.01
Energy of formation from the pure elements (eV per atom): -3.05

Entry 7:
An optimized crystal structure of Cr2N. Source: Materials Project, functional PBE.

CIF file:
```
data_Cr2N
_chemical_formula_sum 'Cr6 N3'
_symmetry_space_group_name_H-M 'P 1'
_symmetry_Int_Tables_number 1
_cell_length_a 4.410
_cell_length_b 4.785
_cell_length_c 4.785
_cell_angle_alpha 120.00
_cell_angle_beta 90.00
_cell_angle_gamma 90.00
loop_
_symmetry_equiv_pos_as_xyz
'x,y,z'
loop_
_atom_site_label
_atom_site_fract_x
_atom_site_fract_y
_atom_site_fract_z
Cr1 0.253 0.326 0.000
Cr2 0.253 0.000 0.326
Cr3 0.253 0.674 0.674
Cr4 0.747 0.326 0.326
Cr5 0.747 0.674 0.000
Cr6 0.747 0.000 0.674
N1 0.000 0.000 0.000
N2 0.500 0.667 0.333
N3 0.500 0.333 0.667
```

Computed properties:
Space group: P-31m (162)
Energy of formation from the pure elements (eV per atom): -0.51

Entry 8:
An optimized crystal structure of Ba5Ga5Pb. Source: Materials Project, functional PBE.

CIF file:
```
data_Ba5Ga5Pb
_chemical_formula_sum 'Ba5 Ga5 Pb1'
_symmetry_space_group_name_H-M 'P 1'
_symmetry_Int_Tables_number 1
_cell_length_a 6.137
_cell_length_b 6.137
_cell_length_c 10.887
_cell_angle_alpha 90.00
_cell_angle_beta 90.00
_cell_angle_gamma 120.00
loop_
_symmetry_equiv_pos_as_xyz
'x,y,z'
loop_
_atom_site_label
_atom_site_fract_x
_atom_site_fract_y
_atom_site_fract_z
Ba1 0.667 0.333 0.832
Ba2 0.333 0.667 0.706
Ba3 0.333 0.667 0.294
Ba4 0.667 0.333 0.168
Ba5 0.000 0.000 0.500
Ga1 0.000 0.000 0.173
Ga2 0.183 0.817 0.000
Ga3 0.183 0.366 0.000
Ga4 0.000 0.000 0.827
Ga5 0.634 0.817 0.000
Pb1 0.667 0.333 0.500
```

Computed properties:
Space group: P-6m2 (187)
Energy of formation from the pure elements (eV per atom): -0.47

Entry 9:
An optimized crystal structure of Na2InSiO5. Source: Materials Project, functional PBE.

CIF file:
```
data_Na2InSiO5
_chemical_formula_sum 'Na8 In4 Si4 O20'
_symmetry_space_group_name_H-M 'P 1'
_symmetry_Int_Tables_number 1
_cell_length_a 6.430
_cell_length_b 7.116
_cell_length_c 9.144
_cell_angle_alpha 90.00
_cell_angle_beta 90.00
_cell_angle_gamma 90.00
loop_
_symmetry_equiv_pos_as_xyz
'x,y,z'
loop_
_atom_site_label
_atom_site_fract_x
_atom_site_fract_y
_atom_site_fract_z
Na1 0.879 0.030 0.327
Na2 0.621 0.470 0.827
Na3 0.121 0.530 0.673
Na4 0.379 0.970 0.173
Na5 0.121 0.970 0.673
Na6 0.379 0.530 0.173
Na7 0.879 0.470 0.327
Na8 0.621 0.030 0.827
In1 0.882 0.750 0.039
In2 0.618 0.750 0.539
In3 0.118 0.250 0.961
In4 0.382 0.250 0.461
Si1 0.676 0.250 0.101
Si2 0.824 0.250 0.601
Si3 0.324 0.750 0.899
Si4 0.176 0.750 0.399
O1 0.826 0.066 0.068
O2 0.674 0.434 0.568
O3 0.174 0.566 0.932
O4 0.326 0.934 0.432
O5 0.174 0.934 0.932
O6 0.326 0.566 0.432
O7 0.826 0.434 0.068
O8 0.674 0.066 0.568
O9 0.600 0.250 0.273
O10 0.900 0.250 0.773
O11 0.400 0.750 0.727
O12 0.100 0.750 0.227
O13 0.027 0.250 0.491
O14 0.473 0.250 0.991
O15 0.973 0.750 0.509
O16 0.527 0.750 0.009
O17 0.686 0.750 0.303
O18 0.814 0.750 0.803
O19 0.314 0.250 0.697
O20 0.186 0.250 0.197
```

Computed properties:
Space group: Pnma (62)
Total magnetization (Bohr magnetons per cell): 4.00
Energy of formation from the pure elements (eV per atom): -2.15

Entry 10:
An optimized crystal structure of NdMg149. Source: Materials Project, functional PBE.

CIF file:
```
data_NdMg149
_chemical_formula_sum 'Nd1 Mg149'
_symmetry_space_group_name_H-M 'P 1'
_symmetry_Int_Tables_number 1
_cell_length_a 16.039
_cell_length_b 16.039
_cell_length_c 15.668
_cell_angle_alpha 90.00
_cell_angle_beta 90.00
_cell_angle_gamma 120.00
loop_
_symmetry_equiv_pos_as_xyz
'x,y,z'
loop_
_atom_site_label
_atom_site_fract_x
_atom_site_fract_y
_atom_site_fract_z
Nd1 0.000 0.000 0.000
Mg1 0.600 0.200 0.000
Mg2 0.402 0.201 0.000
Mg3 0.799 0.201 0.000
Mg4 0.003 0.207 0.000
Mg5 0.203 0.207 0.000
Mg6 0.600 0.400 0.000
Mg7 0.800 0.400 0.000
Mg8 0.400 0.401 0.000
Mg9 0.000 0.401 0.000
Mg10 0.202 0.404 0.000
Mg11 0.799 0.598 0.000
Mg12 0.000 0.600 0.000
Mg13 0.599 0.600 0.000
Mg14 0.400 0.600 0.000
Mg15 0.201 0.600 0.000
Mg16 0.003 0.797 0.000
Mg17 0.793 0.797 0.000
Mg18 0.202 0.798 0.000
Mg19 0.596 0.798 0.000
Mg20 0.400 0.799 0.000
Mg21 0.793 0.997 0.000
Mg22 0.203 0.997 0.000
Mg23 0.599 0.000 0.000
Mg24 0.400 0.000 0.000
Mg25 0.263 0.132 0.164
Mg26 0.868 0.132 0.164
Mg27 0.868 0.737 0.164
Mg28 0.667 0.333 0.166
Mg29 0.466 0.133 0.167
Mg30 0.667 0.133 0.167
Mg31 0.867 0.333 0.167
Mg32 0.466 0.333 0.167
Mg33 0.667 0.534 0.167
Mg34 0.867 0.534 0.167
Mg35 0.467 0.533 0.167
Mg36 0.067 0.533 0.167
Mg37 0.467 0.933 0.167
Mg38 0.267 0.534 0.167
Mg39 0.267 0.733 0.167
Mg40 0.466 0.733 0.167
Mg41 0.068 0.336 0.168
Mg42 0.268 0.336 0.168
Mg43 0.068 0.732 0.168
Mg44 0.664 0.732 0.168
Mg45 0.664 0.932 0.168
Mg46 0.268 0.932 0.168
Mg47 0.069 0.137 0.171
Mg48 0.069 0.931 0.171
Mg49 0.863 0.931 0.171
Mg50 0.800 0.200 0.333
Mg51 0.400 0.200 0.333
Mg52 0.800 0.600 0.333
Mg53 0.600 0.200 0.333
Mg54 0.800 0.400 0.333
Mg55 0.600 0.400 0.333
Mg56 0.201 0.000 0.334
Mg57 0.799 0.000 0.334
Mg58 0.000 0.201 0.334
Mg59 0.201 0.201 0.334
Mg60 0.799 0.799 0.334
Mg61 0.000 0.799 0.334
Mg62 0.600 0.000 0.334
Mg63 0.401 0.000 0.334
Mg64 0.401 0.400 0.334
Mg65 0.000 0.400 0.334
Mg66 0.000 0.599 0.334
Mg67 0.600 0.599 0.334
Mg68 0.400 0.600 0.334
Mg69 0.200 0.600 0.334
Mg70 0.400 0.800 0.334
Mg71 0.200 0.400 0.334
Mg72 0.200 0.800 0.334
Mg73 0.600 0.800 0.334
Mg74 0.000 0.000 0.335
Mg75 0.866 0.134 0.500
Mg76 0.267 0.134 0.500
Mg77 0.067 0.134 0.500
Mg78 0.467 0.134 0.500
Mg79 0.667 0.134 0.500
Mg80 0.866 0.333 0.500
Mg81 0.467 0.333 0.500
Mg82 0.667 0.333 0.500
Mg83 0.267 0.334 0.500
Mg84 0.067 0.334 0.500
Mg85 0.866 0.533 0.500
Mg86 0.667 0.533 0.500
Mg87 0.467 0.533 0.500
Mg88 0.066 0.533 0.500
Mg89 0.267 0.534 0.500
Mg90 0.866 0.733 0.500
Mg91 0.666 0.733 0.500
Mg92 0.067 0.733 0.500
Mg93 0.267 0.733 0.500
Mg94 0.466 0.733 0.500
Mg95 0.067 0.933 0.500
Mg96 0.866 0.933 0.500
Mg97 0.666 0.933 0.500
Mg98 0.267 0.933 0.500
Mg99 0.467 0.934 0.500
Mg100 0.000 0.000 0.665
Mg101 0.200 0.400 0.666
Mg102 0.200 0.800 0.666
Mg103 0.600 0.800 0.666
Mg104 0.400 0.600 0.666
Mg105 0.200 0.600 0.666
Mg106 0.400 0.800 0.666
Mg107 0.600 0.000 0.666
Mg108 0.401 0.000 0.666
Mg109 0.401 0.400 0.666
Mg110 0.000 0.400 0.666
Mg111 0.000 0.599 0.666
Mg112 0.600 0.599 0.666
Mg113 0.201 0.000 0.666
Mg114 0.799 0.000 0.666
Mg115 0.000 0.201 0.666
Mg116 0.201 0.201 0.666
Mg117 0.799 0.799 0.666
Mg118 0.000 0.799 0.666
Mg119 0.600 0.200 0.667
Mg120 0.800 0.400 0.667
Mg121 0.600 0.400 0.667
Mg122 0.800 0.200 0.667
Mg123 0.400 0.200 0.667
Mg124 0.800 0.600 0.667
Mg125 0.069 0.137 0.829
Mg126 0.069 0.931 0.829
Mg127 0.863 0.931 0.829
Mg128 0.068 0.336 0.832
Mg129 0.268 0.336 0.832
Mg130 0.068 0.732 0.832
Mg131 0.664 0.732 0.832
Mg132 0.664 0.932 0.832
Mg133 0.268 0.932 0.832
Mg134 0.267 0.534 0.833
Mg135 0.267 0.733 0.833
Mg136 0.466 0.733 0.833
Mg137 0.467 0.533 0.833
Mg138 0.067 0.533 0.833
Mg139 0.467 0.933 0.833
Mg140 0.466 0.133 0.833
Mg141 0.667 0.133 0.833
Mg142 0.867 0.333 0.833
Mg143 0.466 0.333 0.833
Mg144 0.667 0.534 0.833
Mg145 0.867 0.534 0.833
Mg146 0.667 0.333 0.834
Mg147 0.263 0.132 0.836
Mg148 0.868 0.132 0.836
Mg149 0.868 0.737 0.836
```

Computed properties:
Space group: P-6m2 (187)
Total magnetization (Bohr magnetons per cell): 0.00
Energy of formation from the pure elements (eV per atom): -0.02

Entry 11:
An optimized crystal structure of Cu. Source: Materials Project, functional PBE.

CIF file:
```
data_Cu
_chemical_formula_sum 'Cu1'
_symmetry_space_group_name_H-M 'P 1'
_symmetry_Int_Tables_number 1
_cell_length_a 2.492
_cell_length_b 2.492
_cell_length_c 2.492
_cell_angle_alpha 107.76
_cell_angle_beta 107.76
_cell_angle_gamma 112.96
loop_
_symmetry_equiv_pos_as_xyz
'x,y,z'
loop_
_atom_site_label
_atom_site_fract_x
_atom_site_fract_y
_atom_site_fract_z
Cu1 0.000 0.000 0.000
```

Computed properties:
Space group: I4/mmm (139)
Distance to the lowest polymorph of the same formula (eV per atom): 0.036
Energy of formation from the pure elements (eV per atom): 0.04